# 1
# K3HoF6

A geometry-optimized K3HoF6 structure (GGA-PBE, the Materials Project database).

a = 9.333 Å, b = 9.333 Å, c = 9.333 Å
α = 90.00°, β = 90.00°, γ = 90.00°
Space group Fm-3m (No. 225)
Symmetry-distinct sites (fractional):
K 0.000 0.000 0.000
K 0.250 0.250 0.250
Ho 0.000 0.000 0.500
F 0.000 0.000 0.269

Results
- Energy relative to the elements: -3543 meV per atom
- Raw total energy: -208.23 eV per cell
- M_tot: 0.00 μB/f.u.

# 2
# K3HoF6

A geometry-optimized K3HoF6 structure (GGA-PBE, the Materials Project database).

a = 7.087 Å, b = 7.087 Å, c = 9.180 Å
α = 90.00°, β = 90.00°, γ = 90.00°
Space group I4/mmm (No. 139)
Symmetry-distinct sites (fractional):
K 0.000 0.000 0.000
K 0.000 0.500 0.250
Ho 0.000 0.000 0.500
F 0.000 0.000 0.263
F 0.000 0.305 0.500

Results
- Energy relative to the elements: -3508 meV per atom
- Raw total energy: -103.42 eV per cell
- M_tot: 0.00 μB/f.u.

# 3
# LiHoF2

A geometry-optimized LiHoF2 structure (GGA-PBE, the Materials Project database).

a = 6.368 Å, b = 6.368 Å, c = 12.882 Å
α = 90.00°, β = 90.00°, γ = 90.00°
Space group I4_1/amd (No. 141, origin choice 2)
Symmetry-distinct sites (fractional):
Li 0.000 0.000 0.000
Ho 0.000 0.000 0.500
F 0.000 0.009 0.318

Results
- Energy relative to the elements: -2570 meV per atom
- Raw total energy: -157.41 eV per cell
- M_tot: 0.00 μB/f.u.

# 4
# Na5Ho4Si4O16F

A geometry-optimized Na5Ho4Si4O16F structure (GGA-PBE, the Materials Project database).

a = 11.641 Å, b = 11.641 Å, c = 5.428 Å
α = 90.00°, β = 90.00°, γ = 90.00°
Space group I-4 (No. 82)
Symmetry-distinct sites (fractional):
Na 0.000 0.000 0.000
Na 0.089 0.605 0.493
Ho 0.115 0.182 0.477
Si 0.104 0.754 0.989
O 0.034 0.795 0.742
O 0.049 0.813 0.236
O 0.110 0.613 0.013
O 0.203 0.236 0.066
F 0.000 0.000 0.500

Results
- Energy relative to the elements: -3327 meV per atom
- Raw total energy: -432.17 eV per cell

# 5
# Ho3SOF5

A geometry-optimized Ho3SOF5 structure (GGA-PBE, the Materials Project database).

a = 9.372 Å, b = 3.674 Å, c = 9.424 Å
α = 90.00°, β = 119.56°, γ = 90.00°
Space group Pm (No. 6)
Symmetry-distinct sites (fractional):
Ho 0.000 0.000 0.000
Ho 0.105 0.500 0.690
Ho 0.271 0.500 0.373
Ho 0.526 0.000 0.820
Ho 0.700 0.000 0.505
Ho 0.820 0.500 0.237
S 0.077 0.000 0.442
S 0.733 0.500 0.770
O 0.020 0.500 0.155
O 0.840 0.500 0.490
F 0.132 0.500 0.942
F 0.257 0.000 0.222
F 0.286 0.000 0.825
F 0.357 0.500 0.672
F 0.449 0.000 0.537
F 0.514 0.500 0.374
F 0.561 0.500 0.985
F 0.674 0.000 0.251
F 0.781 0.000 0.055
F 0.975 0.000 0.728

Results
- Energy relative to the elements: -4063 meV per atom
- Raw total energy: -139.07 eV per cell
- M_tot: 0.00 μB/f.u.

# 6
# Ho2SeOF2

A geometry-optimized Ho2SeOF2 structure (GGA-PBE, the Materials Project database).

a = 13.3802 Å, b = 13.3802 Å, c = 3.7327 Å
α = 90.00°, β = 90.00°, γ = 120.00°
Space group P6_3/m (No. 176)
Symmetry-distinct sites (fractional):
Ho 0.0550 0.2882 0.2500
Ho 0.1162 0.6019 0.2500
Se 0.2065 0.4873 0.7500
O 0.0142 0.5879 0.7500
F 0.0666 0.7527 0.2500
F 0.1003 0.2050 0.7500

Results
- Energy relative to the elements: -3659 meV per atom
- Raw total energy: -250.69 eV per cell
- M_tot: 0.00 μB/f.u.

# 7
# Ho2S2F

A geometry-optimized Ho2S2F structure (GGA-PBE, the Materials Project database).

a = 3.732 Å, b = 3.732 Å, c = 11.125 Å
α = 90.00°, β = 90.00°, γ = 90.00°
Space group P4/mmm (No. 123)
Symmetry-distinct sites (fractional):
Ho 0.000 0.000 0.192
S 0.000 0.000 0.412
F 0.000 0.000 0.000

Results
- Energy relative to the elements: -1144 meV per atom
- Raw total energy: -23.60 eV per cell
- M_tot: 0.46 μB/f.u.

# 8
# HoSF

A geometry-optimized HoSF structure (GGA-PBE, the Materials Project database).

a = 3.766 Å, b = 3.766 Å, c = 6.842 Å
α = 90.00°, β = 90.00°, γ = 90.00°
Space group P4/nmm (No. 129, origin choice 2)
Symmetry-distinct sites (fractional):
Ho 0.250 0.250 0.228
S 0.250 0.250 0.643
F 0.250 0.750 0.000

Results
- Energy relative to the elements: -3306 meV per atom
- Raw total energy: -39.17 eV per cell

# 9
# HoSeF

A geometry-optimized HoSeF structure (GGA-PBE, the Materials Project database).

a = 9.979 Å, b = 4.099 Å, c = 18.959 Å
α = 90.00°, β = 90.00°, γ = 90.00°
Space group Pnma (No. 62)
Symmetry-distinct sites (fractional):
Ho 0.078 0.250 0.081
Ho 0.092 0.250 0.416
Ho 0.244 0.750 0.239
Se 0.006 0.750 0.322
Se 0.164 0.750 0.841
Se 0.165 0.750 0.514
F 0.025 0.750 0.027
F 0.137 0.750 0.135
F 0.199 0.250 0.194

Results
- Energy relative to the elements: -3005 meV per atom
- Raw total energy: -222.56 eV per cell
- M_tot: 0.00 μB/f.u.

# 10
# HoSeF

A geometry-optimized HoSeF structure (GGA-PBE, the Materials Project database).

a = 9.977 Å, b = 4.101 Å, c = 6.328 Å
α = 90.00°, β = 90.00°, γ = 90.00°
Space group Pnma (No. 62)
Symmetry-distinct sites (fractional):
Ho 0.079 0.250 0.235
Se 0.166 0.750 0.535
F 0.034 0.750 0.092

Results
- Energy relative to the elements: -3025 meV per atom
- Raw total energy: -74.43 eV per cell

# 11
# HoZrF7

A geometry-optimized HoZrF7 structure (GGA-PBE, the Materials Project database).

a = 6.113 Å, b = 5.701 Å, c = 8.283 Å
α = 90.00°, β = 102.24°, γ = 90.00°
Space group P2_1 (No. 4)
Symmetry-distinct sites (fractional):
Ho 0.154 0.000 0.183
Zr 0.312 0.990 0.724
F 0.043 0.206 0.714
F 0.050 0.313 0.025
F 0.120 0.693 0.720
F 0.256 0.996 0.473
F 0.360 0.988 0.976
F 0.419 0.273 0.264
F 0.462 0.760 0.262

Results
- Energy relative to the elements: -4231 meV per atom
- Raw total energy: -122.75 eV per cell

# 12
# IF3

A geometry-optimized IF3 structure (GGA-PBE, the Materials Project database).

a = 9.124 Å, b = 6.755 Å, c = 4.729 Å
α = 90.00°, β = 90.00°, γ = 90.00°
Space group Pnma (No. 62)
Symmetry-distinct sites (fractional):
I 0.188 0.250 0.023
F 0.066 0.250 0.352
F 0.169 0.544 0.086

Results
- Energy relative to the elements: -1680 meV per atom
- Raw total energy: -50.41 eV per cell
- M_tot: 0.00 μB/f.u.

> Among the records above, which one has the lowest energy relative to the elements?

HoZrF7